[1]
This record from the Materials Project database describes a relaxed structure of Na2ZnGe2Se6. The functional is GGA-PBE.

## Properties
ΔH_f (0 K) ... -0.876 eV per atom
Magnetization ... 0.0 μB per cell
Corrected total energy (MP2020 scheme) ... -3.978 eV/atom
E_tot ... -3.721 eV/atom

Unit cell a=7.9480 b=7.9480 c=19.0515 alpha=90.00 beta=90.00 gamma=90.00
Closest atoms and distances in Å follow each position.
Space group I4/mcm (No. 140)
One atom of each set of equivalent atoms:
Na: 0.0000 0.0000 0.1174 (multiplicity 8)  4 Se 3.08
Zn: 0.0000 0.5000 0.2500 (multiplicity 4)  4 Se 2.52
Ge: 0.0000 0.5000 0.0850 (multiplicity 8)  4 Se 2.37-2.44
Se: 0.1619 0.3381 0.0000 (multiplicity 8)  2 Ge 2.44
Se: 0.1666 0.3334 0.3387 (multiplicity 16)  1 Ge 2.37, 1 Zn 2.52

[2]
This record from the Materials Project database describes a relaxed structure of Na2ZnGe. The functional is GGA-PBE.

## Properties
ΔH_f (0 K) ... -0.149 eV per atom
E_tot ... -2.280 eV/atom

Unit cell a=9.2559 b=7.4401 c=5.5330 alpha=90.00 beta=90.00 gamma=90.00
Closest atoms and distances in Å follow each position.
Space group Cmcm (No. 63)
One atom of each set of equivalent atoms:
Na: 0.1762 0.1422 0.2500 (multiplicity 8)  4 Ge 3.15-3.27, 5 Na 3.26-3.48, 4 Zn 3.41-3.47
Zn: 0.0000 0.5000 0.0000 (multiplicity 4)  2 Ge 2.45
Ge: 0.0000 0.2281 0.7500 (multiplicity 4)  2 Zn 2.45

[3]
This record from the Materials Project database describes a relaxed structure of Nb10Ge7. The functional is GGA-PBE.

## Properties
ΔH_f (0 K) ... -0.455 eV per atom
Magnetization ... 0.0 μB per cell
Energy above the most stable polymorph in this dataset ... 1.9 meV/atom
E_tot ... -8.300 eV/atom

Unit cell a=7.8406 b=7.8406 c=5.4334 alpha=90.00 beta=90.00 gamma=120.00
Closest atoms and distances in Å follow each position.
Space group P-31m (No. 162)
One atom of each set of equivalent atoms:
Nb: 0.0000 0.2642 0.2301 (multiplicity 6)  5 Ge 2.54-2.82
Nb: 0.3333 0.6667 0.0000 (multiplicity 2)  2 Nb 2.72, 6 Ge 2.79
Nb: 0.3333 0.6667 0.5000 (multiplicity 2)  2 Nb 2.72, 6 Ge 2.76
Ge: 0.0000 0.0000 0.5000 (multiplicity 1)  6 Nb 2.54
Ge: 0.0000 0.3906 0.7446 (multiplicity 6)  9 Nb 2.71-2.97

[4]
This record from the Materials Project database describes a relaxed structure of Nb5Ge4. The functional is GGA-PBE.

## Properties
ΔH_f (0 K) ... -0.398 eV per atom
Magnetization ... 0.0 μB per cell
E_tot ... -8.065 eV/atom

Unit cell a=6.7782 b=13.2446 c=6.8445 alpha=90.00 beta=90.00 gamma=90.00
Closest atoms and distances in Å follow each position.
Space group Pnma (No. 62)
One atom of each set of equivalent atoms:
Nb: 0.0195 0.0862 0.1752 (multiplicity 8)  7 Ge 2.73-2.97
Nb: 0.1536 0.6245 0.3358 (multiplicity 8)  6 Ge 2.57-2.78
Nb: 0.1721 0.2500 0.5081 (multiplicity 4)  6 Ge 2.58-2.79
Ge: 0.0462 0.2500 0.8963 (multiplicity 4)  1 Ge 2.58, 6 Nb 2.62-2.79
Ge: 0.1812 0.7500 0.6604 (multiplicity 4)  6 Nb 2.58-2.80, 1 Ge 2.58
Ge: 0.1892 0.0412 0.5346 (multiplicity 8)  7 Nb 2.57-2.78, 1 Ge 2.83

[5]
This record from the Materials Project database describes a relaxed structure of Nb10Ge7. The functional is GGA-PBE.

## Properties
ΔH_f (0 K) ... 0.148 eV per atom
Magnetization ... 0.1 μB per cell
Energy above the most stable polymorph in this dataset ... 604.8 meV/atom
E_tot ... -7.697 eV/atom

Unit cell a=14.3976 b=14.3976 c=5.5644 alpha=90.00 beta=90.00 gamma=120.00
Closest atoms and distances in Å follow each position.
Space group P-3m1 (No. 164)
One atom of each set of equivalent atoms:
Nb: 0.0000 0.3076 0.0000 (multiplicity 6)  2 Ge 2.73, 4 Nb 2.79-3.01
Nb: 0.0000 0.3186 0.5000 (multiplicity 6)  4 Ge 2.73-2.75, 4 Nb 2.79-2.94
Nb: 0.0151 0.5076 0.7388 (multiplicity 6)  2 Ge 2.42-2.60, 2 Nb 2.57-2.68
Nb: 0.0911 0.1823 0.7642 (multiplicity 6)  5 Ge 2.62-2.93
Nb: 0.2019 0.6009 0.5440 (multiplicity 6)  3 Nb 2.57-2.84, 2 Ge 2.66-2.67
Ge: 0.0000 0.0000 0.0000 (multiplicity 1)  6 Nb 2.62
Ge: 0.1285 0.2571 0.2632 (multiplicity 6)  8 Nb 2.73-2.94, 1 Ge 2.97
Ge: 0.1602 0.5801 0.0742 (multiplicity 6)  1 Ge 2.32, 2 Nb 2.42-2.60
Ge: 0.2042 0.4085 0.6758 (multiplicity 6)  5 Nb 2.73-2.88, 1 Ge 2.97
Ge: 0.3333 0.6667 0.9196 (multiplicity 2)  3 Ge 2.32

[6]
This record from the Materials Project database describes a relaxed structure of Nb10Ge7. The functional is GGA-PBE.

## Properties
ΔH_f (0 K) ... -0.457 eV per atom
Magnetization ... 0.7 μB per cell
Energy above the most stable polymorph in this dataset ... 0.0 meV/atom
E_tot ... -8.302 eV/atom

Unit cell a=13.5556 b=13.5556 c=5.4661 alpha=90.00 beta=90.00 gamma=120.00
Closest atoms and distances in Å follow each position.
Space group P-3m1 (No. 164)
One atom of each set of equivalent atoms:
Nb: 0.0000 0.3309 0.0000 (multiplicity 6)  2 Nb 2.73, 6 Ge 2.76-2.79
Nb: 0.0000 0.3364 0.5000 (multiplicity 6)  2 Nb 2.73, 6 Ge 2.75-2.80
Nb: 0.0874 0.1748 0.7286 (multiplicity 6)  5 Ge 2.53-2.79
Nb: 0.1593 0.5797 0.7733 (multiplicity 6)  5 Ge 2.53-2.78
Nb: 0.2456 0.4912 0.2323 (multiplicity 6)  4 Ge 2.53-2.71
Ge: 0.0000 0.0000 0.0000 (multiplicity 1)  6 Nb 2.53
Ge: 0.0731 0.5366 0.2462 (multiplicity 6)  8 Nb 2.70-2.79
Ge: 0.1301 0.2603 0.2527 (multiplicity 6)  8 Nb 2.70-2.80
Ge: 0.2030 0.4061 0.7466 (multiplicity 6)  9 Nb 2.70-2.98
Ge: 0.3333 0.6667 0.5005 (multiplicity 2)  6 Nb 2.53

[7]
This record from the Materials Project database describes a relaxed structure of Nb2Ni3Ge. The functional is GGA-PBE.

## Properties
ΔH_f (0 K) ... -0.334 eV per atom
Magnetization ... 3.9 μB per cell
E_tot ... -7.362 eV/atom

Unit cell a=4.9139 b=4.9139 c=7.8012 alpha=90.00 beta=90.00 gamma=120.00
Closest atoms and distances in Å follow each position.
Space group P6_3/mmc (No. 194)
One atom of each set of equivalent atoms:
Nb: 0.3333 0.6667 0.0609 (multiplicity 4)  9 Ni 2.79-2.87, 3 Ge 2.88, 4 Nb 2.95-2.99
Ni: 0.1710 0.3420 0.7500 (multiplicity 6)  4 Ni 2.39-2.52, 2 Ge 2.43
Ge: 0.0000 0.0000 0.0000 (multiplicity 2)  6 Ni 2.43

[8]
This record from the Materials Project database describes a relaxed structure of NbNiGe. The functional is GGA-PBE.

## Properties
ΔH_f (0 K) ... -0.495 eV per atom
E_tot ... -7.330 eV/atom

Unit cell a=6.3384 b=3.7645 c=7.2631 alpha=90.00 beta=90.00 gamma=90.00
Closest atoms and distances in Å follow each position.
Space group Pnma (No. 62)
One atom of each set of equivalent atoms:
Nb: 0.0220 0.2500 0.1711 (multiplicity 4)  5 Ge 2.70-2.71, 6 Ni 2.88-2.97
Ni: 0.1547 0.2500 0.5630 (multiplicity 4)  4 Ge 2.36-2.42
Ge: 0.2200 0.7500 0.3760 (multiplicity 4)  4 Ni 2.36-2.42

[9]
This record from the Materials Project database describes a relaxed structure of Nb2Ge2O7. The functional is GGA-PBE.

## Properties
ΔH_f (0 K) ... -2.406 eV per atom
Magnetization ... 0.0 μB per cell
Corrected total energy (MP2020 scheme) ... -8.232 eV/atom
E_tot ... -7.795 eV/atom

Unit cell a=3.9400 b=26.7538 c=5.8704 alpha=90.00 beta=90.00 gamma=90.00
Closest atoms and distances in Å follow each position.
Space group Cmc2_1 (No. 36)
One atom of each set of equivalent atoms:
Nb: 0.0000 0.0573 0.0000 (multiplicity 4)  4 O 1.84-2.05
Nb: 0.0000 0.1611 0.5190 (multiplicity 4)  5 O 1.91-2.11
Ge: 0.0000 0.2863 0.5654 (multiplicity 4)  1 O 1.88
Ge: 0.0000 0.4364 0.9355 (multiplicity 4)  3 O 2.01-2.18
O: 0.0000 0.0080 0.7813 (multiplicity 4)  1 Nb 1.84
O: 0.0000 0.0922 0.3439 (multiplicity 4)  2 Nb 2.11-2.22, 2 Ge 2.18
O: 0.0000 0.1143 0.8225 (multiplicity 4)  1 Nb 1.85
O: 0.0000 0.1984 0.2422 (multiplicity 4)  1 Nb 1.91
O: 0.0000 0.2228 0.7008 (multiplicity 4)  1 Ge 1.88, 1 Nb 1.97
O: 0.0000 0.3520 0.0151 (multiplicity 4)  2 Nb 2.00
O: 0.0000 0.4432 0.5947 (multiplicity 4)  1 Ge 2.01, 2 Nb 2.05

[10]
This record from the Materials Project database describes a relaxed structure of Nb2Ge2O7. The functional is GGA-PBE.

## Properties
ΔH_f (0 K) ... -2.429 eV per atom
Magnetization ... 0.0 μB per cell
Corrected total energy (MP2020 scheme) ... -8.255 eV/atom
E_tot ... -7.818 eV/atom

Unit cell a=8.0127 b=5.7631 c=13.7009 alpha=90.00 beta=95.83 gamma=90.00
Closest atoms and distances in Å follow each position.
Space group P2_1 (No. 4)
One atom of each set of equivalent atoms:
Nb: 0.0239 0.0000 0.1105 (multiplicity 2)  3 O 1.84-2.02
Nb: 0.0863 0.4712 0.3142 (multiplicity 2)  4 O 1.84-2.05
Nb: 0.4255 0.9794 0.6776 (multiplicity 2)  3 O 1.88-1.97
Nb: 0.4672 0.4975 0.8826 (multiplicity 2)  3 O 1.83-2.03
Ge: 0.0770 0.4488 0.5717 (multiplicity 2)  3 O 2.01-2.21
Ge: 0.1942 0.0492 0.8594 (multiplicity 2)  3 O 2.01-2.05
Ge: 0.3135 0.5834 0.1018 (multiplicity 2)  3 O 1.95-2.11
Ge: 0.3558 0.9465 0.4368 (multiplicity 2)  2 O 1.89-1.94
O: 0.0064 0.7262 0.9849 (multiplicity 2)  1 Nb 1.84
O: 0.0211 0.1796 0.2253 (multiplicity 2)  2 Nb 1.89-2.11
O: 0.0389 0.6581 0.1867 (multiplicity 2)  1 Ge 2.01, 2 Nb 2.05-2.23
O: 0.0431 0.2950 0.4374 (multiplicity 2)  1 Nb 2.03, 2 Ge 2.04-2.21
O: 0.1191 0.7608 0.3923 (multiplicity 2)  1 Nb 1.99, 2 Ge 2.01-2.21
O: 0.1962 0.0426 0.7097 (multiplicity 2)  1 Nb 1.97, 1 Ge 2.05
O: 0.2265 0.3959 0.8891 (multiplicity 2)  2 Nb 2.03-2.09, 1 Ge 2.05
O: 0.2718 0.9364 0.1087 (multiplicity 2)  2 Nb 2.02-2.11, 1 Ge 2.07
O: 0.3115 0.4205 0.3050 (multiplicity 2)  1 Nb 1.84
O: 0.3632 0.7996 0.5648 (multiplicity 2)  1 Nb 1.89, 1 Ge 1.94
O: 0.4419 0.6943 0.7773 (multiplicity 2)  1 Nb 1.83
O: 0.4624 0.6980 0.9930 (multiplicity 2)  1 Nb 1.91, 1 Ge 2.11
O: 0.4815 0.2397 0.6043 (multiplicity 2)  1 Nb 1.88, 1 Ge 1.89
O: 0.4847 0.1758 0.8152 (multiplicity 2)  1 Ge 1.95, 1 Nb 2.08